Here is a geometry-optimized La9B3C6Br5 structure from the Materials Project. Energies are from PBE.

## Properties
E (MP2020): -6.617 eV per atom
Energy of formation: -1.05 eV/atom
Density: 5.63 g cm⁻³

a b c (Å): 3.889 7.982 33.322
angles (deg): 90.00 90.00 90.00
Sites, in units of the cell vectors:
Br: 0.000 0.673 0.098
Br: 0.000 0.214 0.500
Br: 0.500 0.574 0.798
Br: 0.000 0.426 0.298
Br: 0.500 0.786 0.000
Br: 0.500 0.327 0.402
Br: 0.500 0.327 0.598
Br: 0.000 0.426 0.702
Br: 0.000 0.673 0.902
Br: 0.500 0.574 0.202
La: 0.000 0.050 0.944
La: 0.500 0.195 0.759
La: 0.000 0.650 0.383
La: 0.500 0.549 0.500
La: 0.000 0.805 0.259
La: 0.500 0.350 0.883
La: 0.000 0.085 0.346
La: 0.000 0.650 0.617
La: 0.500 0.950 0.444
La: 0.000 0.085 0.654
La: 0.500 0.350 0.117
La: 0.500 0.950 0.556
La: 0.000 0.805 0.741
La: 0.000 0.050 0.056
La: 0.500 0.195 0.241
La: 0.000 0.451 0.000
La: 0.500 0.915 0.154
La: 0.500 0.915 0.846
C: 0.000 0.027 0.794
C: 0.500 0.865 0.375
C: 0.500 0.272 0.957
C: 0.000 0.135 0.875
C: 0.000 0.728 0.457
C: 0.500 0.973 0.706
C: 0.000 0.027 0.206
C: 0.500 0.973 0.294
C: 0.000 0.728 0.543
C: 0.500 0.865 0.625
C: 0.000 0.135 0.125
C: 0.500 0.272 0.043
B: 0.500 0.863 0.670
B: 0.500 0.227 0.000
B: 0.500 0.863 0.330
B: 0.000 0.137 0.170
B: 0.000 0.773 0.500
B: 0.000 0.137 0.830